(1)
# Li3Mn2C3O9F

A relaxed Li3Mn2C3O9F crystal (GGA+U, Materials Project).

## Properties
VASP energy   -7.068 eV per atom
Space group   Cc, No. 9

Lattice parameters (Å, degrees): 8.599 8.599 6.480 85.26 85.26 127.55
Sites, in units of the cell vectors:
Li 0.571 0.243 0.476
Li 0.944 0.178 0.320
Li 0.943 0.164 0.820
Li 0.243 0.571 0.976
Li 0.164 0.943 0.320
Li 0.178 0.944 0.820
Mn 0.622 0.249 0.971
Mn 0.701 0.681 0.156
Mn 0.681 0.701 0.656
Mn 0.249 0.622 0.471
C 0.320 0.317 0.006
C 0.948 0.557 0.191
C 0.941 0.558 0.695
C 0.317 0.320 0.506
C 0.558 0.941 0.195
C 0.557 0.948 0.691
O 0.323 0.167 0.031
O 0.293 0.157 0.527
O 0.476 0.023 0.765
O 0.731 0.085 0.089
O 0.740 0.056 0.607
O 0.497 0.490 0.458
O 0.752 0.447 0.205
O 0.157 0.293 0.027
O 0.756 0.487 0.698
O 0.023 0.476 0.265
O 0.978 0.451 0.798
O 0.167 0.323 0.531
O 0.056 0.740 0.107
O 0.085 0.731 0.589
O 0.490 0.497 0.958
O 0.487 0.756 0.198
O 0.447 0.752 0.705
O 0.451 0.978 0.298
F 0.878 0.877 0.861
F 0.877 0.878 0.361

***

(2)
# Mn6P4H2O17

A relaxed Mn6P4H2O17 crystal (GGA+U, Materials Project).

## Properties
VASP energy   -7.435 eV per atom
Space group   Cc, No. 9

Lattice parameters (Å, degrees): 10.035 10.035 8.249 88.76 88.76 123.75
Sites, in units of the cell vectors:
Mn 0.353 0.183 0.576
Mn 0.815 0.069 0.164
Mn 0.698 0.320 0.972
Mn 0.838 0.244 0.626
Mn 0.711 0.470 0.399
Mn 0.183 0.353 0.076
Mn 0.882 0.716 0.040
Mn 0.069 0.815 0.664
Mn 0.320 0.698 0.472
Mn 0.244 0.838 0.126
Mn 0.470 0.711 0.899
Mn 0.716 0.882 0.540
P 0.080 0.016 0.310
P 0.567 0.087 0.327
P 0.016 0.080 0.810
P 0.673 0.571 0.709
P 0.975 0.465 0.275
P 0.087 0.567 0.827
P 0.571 0.673 0.209
P 0.465 0.975 0.775
H 0.382 0.217 0.119
H 0.372 0.222 0.929
H 0.222 0.372 0.429
H 0.217 0.382 0.619
O 0.203 0.194 0.251
O 0.432 0.213 0.016
O 0.535 0.213 0.391
O 0.646 0.139 0.153
O 0.690 0.075 0.429
O 0.623 0.145 0.776
O 0.549 0.414 0.625
O 0.897 0.074 0.685
O 0.991 0.140 0.972
O 0.682 0.611 0.227
O 0.713 0.535 0.877
O 0.992 0.331 0.213
O 0.893 0.421 0.448
O 0.860 0.489 0.171
O 0.922 0.404 0.827
O 0.194 0.203 0.751
O 0.822 0.658 0.588
O 0.213 0.432 0.516
O 0.145 0.623 0.276
O 0.213 0.535 0.891
O 0.139 0.646 0.653
O 0.075 0.690 0.929
O 0.979 0.908 0.837
O 0.414 0.549 0.125
O 0.074 0.897 0.185
O 0.140 0.991 0.472
O 0.535 0.713 0.377
O 0.611 0.682 0.727
O 0.404 0.922 0.327
O 0.331 0.992 0.713
O 0.421 0.893 0.948
O 0.489 0.860 0.671
O 0.658 0.822 0.088
O 0.908 0.979 0.337

***

(3)
# Al2NiO4

A relaxed Al2NiO4 crystal (GGA+U, Materials Project).

## Properties
Energy above the lowest structure with this stoichiometry   0.166 eV/atom
VASP energy   -6.605 eV per atom
Space group   P1, No. 1

Lattice parameters (Å, degrees): 5.694 5.738 33.160 85.09 85.21 60.38
Sites, in units of the cell vectors:
Al 0.355 0.864 0.929
Al 0.355 0.353 0.929
Al 0.079 0.568 0.786
Al 0.221 0.711 0.856
Al 0.265 0.771 0.697
Al 0.078 0.063 0.786
Al 0.977 0.491 0.555
Al 0.888 0.367 0.874
Al 0.933 0.423 0.714
Al 0.787 0.784 0.643
Al 0.691 0.206 0.412
Al 0.604 0.075 0.732
Al 0.643 0.143 0.571
Al 0.500 0.500 0.500
Al 0.356 0.858 0.428
Al 0.404 0.922 0.269
Al 0.310 0.791 0.588
Al 0.214 0.215 0.357
Al 0.115 0.640 0.127
Al 0.070 0.574 0.286
Al 0.023 0.507 0.445
Al 0.927 0.931 0.214
Al 0.737 0.222 0.302
Al 0.782 0.290 0.143
Al 0.638 0.650 0.072
Al 0.498 0.003 0.999
Al 0.450 0.939 0.160
Al 0.165 0.657 0.016
Ni 0.828 0.346 0.985
Ni 0.850 0.860 0.928
Ni 0.554 0.053 0.840
Ni 0.575 0.567 0.785
Ni 0.288 0.282 0.643
Ni 0.000 0.000 0.500
Ni 0.500 0.000 0.500
Ni 0.788 0.282 0.643
Ni 0.714 0.714 0.357
Ni 0.214 0.714 0.357
Ni 0.427 0.430 0.214
Ni 0.927 0.430 0.214
Ni 0.140 0.149 0.072
Ni 0.637 0.149 0.072
O 0.641 0.718 0.963
O 0.505 0.050 0.897
O 0.647 0.178 0.962
O 0.199 0.168 0.961
O 0.524 0.543 0.892
O 0.365 0.427 0.820
O 0.059 0.536 0.890
O 0.368 0.886 0.819
O 0.238 0.753 0.751
O 0.196 0.672 0.959
O 0.932 0.873 0.817
O 0.059 0.013 0.890
O 0.241 0.254 0.751
O 0.102 0.121 0.682
O 0.916 0.379 0.818
O 0.953 0.484 0.610
O 0.090 0.608 0.679
O 0.779 0.241 0.749
O 0.623 0.609 0.680
O 0.784 0.721 0.749
O 0.810 0.840 0.539
O 0.953 0.957 0.607
O 0.666 0.201 0.467
O 0.803 0.326 0.537
O 0.622 0.080 0.678
O 0.483 0.956 0.607
O 0.334 0.325 0.537
O 0.476 0.443 0.605
O 0.667 0.673 0.464
O 0.524 0.555 0.396
O 0.334 0.798 0.534
O 0.517 0.040 0.394
O 0.196 0.673 0.464
O 0.380 0.915 0.324
O 0.189 0.159 0.462
O 0.048 0.040 0.394
O 0.381 0.388 0.321
O 0.238 0.271 0.253
O 0.048 0.513 0.391
O 0.910 0.388 0.321
O 0.230 0.757 0.251
O 0.093 0.631 0.182
O 0.761 0.756 0.251
O 0.903 0.874 0.319
O 0.094 0.103 0.178
O 0.949 0.988 0.110
O 0.798 0.351 0.043
O 0.761 0.229 0.248
O 0.624 0.102 0.178
O 0.944 0.475 0.109
O 0.469 0.477 0.109
O 0.616 0.590 0.177
O 0.808 0.819 0.033
O 0.335 0.824 0.034
O 0.475 0.947 0.105
O 0.327 0.308 0.031

***

(4)
# YV3Se2ClO8

A relaxed YV3Se2ClO8 crystal (GGA+U, Materials Project).

## Properties
VASP energy   -6.715 eV per atom
Space group   P2_1/m, No. 11

Lattice parameters (Å, degrees): 6.686 7.246 9.744 89.79 90.00 90.00
Sites, in units of the cell vectors:
Y 0.750 0.269 0.251
Y 0.250 0.731 0.749
V 0.500 0.000 0.000
V 0.500 0.000 0.500
V 0.000 0.000 0.000
V 0.250 0.201 0.751
V 0.750 0.799 0.249
V 0.000 0.000 0.500
Se 0.250 0.411 0.065
Se 0.750 0.589 0.935
Se 0.250 0.413 0.436
Se 0.750 0.587 0.564
Cl 0.750 0.119 0.742
Cl 0.250 0.881 0.258
O 0.750 0.015 0.116
O 0.750 0.569 0.114
O 0.250 0.426 0.615
O 0.455 0.265 0.091
O 0.545 0.730 0.589
O 0.955 0.730 0.589
O 0.250 0.985 0.884
O 0.045 0.265 0.091
O 0.045 0.270 0.411
O 0.955 0.735 0.909
O 0.750 0.018 0.381
O 0.250 0.982 0.619
O 0.545 0.735 0.909
O 0.455 0.270 0.411
O 0.250 0.431 0.886
O 0.750 0.574 0.385

***

(5)
# VZnSe2O7

A relaxed VZnSe2O7 crystal (GGA+U, Materials Project).

## Properties
VASP energy   -5.832 eV per atom
Space group   P2_1/c, No. 14

Lattice parameters (Å, degrees): 12.791 7.577 7.888 58.98 90.00 90.00
Sites, in units of the cell vectors:
V 0.754 0.037 0.223
V 0.254 0.963 0.277
V 0.746 0.037 0.723
V 0.246 0.963 0.777
Zn 0.992 0.716 0.487
Zn 0.508 0.716 0.987
Zn 0.492 0.284 0.013
Zn 0.008 0.284 0.513
Se 0.488 0.162 0.661
Se 0.012 0.162 0.161
Se 0.988 0.838 0.839
Se 0.230 0.464 0.608
Se 0.512 0.838 0.339
Se 0.770 0.536 0.392
Se 0.270 0.464 0.108
Se 0.730 0.536 0.892
O 0.905 0.058 0.713
O 0.228 0.662 0.881
O 0.269 0.966 0.486
O 0.728 0.338 0.619
O 0.463 0.316 0.752
O 0.731 0.034 0.514
O 0.037 0.316 0.252
O 0.593 0.533 0.923
O 0.772 0.338 0.119
O 0.263 0.264 0.573
O 0.769 0.034 0.014
O 0.907 0.533 0.423
O 0.763 0.736 0.927
O 0.963 0.684 0.748
O 0.537 0.684 0.248
O 0.237 0.264 0.073
O 0.405 0.942 0.787
O 0.595 0.058 0.213
O 0.272 0.662 0.381
O 0.908 0.003 0.307
O 0.407 0.467 0.077
O 0.737 0.736 0.427
O 0.095 0.942 0.287
O 0.092 0.997 0.693
O 0.231 0.966 0.986
O 0.592 0.003 0.807
O 0.408 0.997 0.193
O 0.093 0.467 0.577

***

(6)
# GdY3Fe4O12

A relaxed GdY3Fe4O12 crystal (GGA+U, Materials Project).

## Properties
VASP energy   -8.292 eV per atom
Space group   Pm, No. 6

Lattice parameters (Å, degrees): 7.731 5.357 5.661 89.96 90.00 90.00
Sites, in units of the cell vectors:
Gd 0.000 0.482 0.434
Y 0.000 0.019 0.932
Y 0.500 0.518 0.569
Y 0.500 0.982 0.068
Fe 0.750 0.500 0.001
Fe 0.251 0.000 0.500
Fe 0.250 0.500 0.001
Fe 0.749 0.000 0.500
O 0.193 0.190 0.192
O 0.807 0.307 0.696
O 0.691 0.807 0.805
O 0.310 0.692 0.306
O 0.309 0.807 0.805
O 0.690 0.692 0.306
O 0.807 0.190 0.192
O 0.193 0.307 0.696
O 0.000 0.614 0.038
O 0.000 0.891 0.542
O 0.500 0.386 0.958
O 0.500 0.115 0.458

***

(7)
# LiNi2OF3

A relaxed LiNi2OF3 crystal (GGA+U, Materials Project).

## Properties
Energy above the lowest structure with this stoichiometry   0.027 eV/atom
VASP energy   -4.586 eV per atom

Lattice parameters (Å, degrees): 5.984 10.683 5.984 73.73 120.01 90.01
Sites, in units of the cell vectors:
Li 0.489 0.532 0.978
Li 0.989 0.032 0.978
Li 0.636 0.093 0.272
Li 0.136 0.593 0.272
Ni 0.062 0.313 0.125
Ni 0.563 0.312 0.625
Ni 0.062 0.312 0.625
Ni 0.313 0.062 0.625
Ni 0.812 0.563 0.625
Ni 0.563 0.813 0.125
Ni 0.062 0.812 0.625
Ni 0.563 0.812 0.625
O 0.426 0.722 0.852
O 0.926 0.222 0.852
O 0.699 0.903 0.398
O 0.199 0.403 0.398
F 0.933 0.679 0.387
F 0.433 0.179 0.387
F 0.192 0.946 0.383
F 0.692 0.446 0.383
F 0.954 0.179 0.387
F 0.454 0.679 0.387
F 0.192 0.946 0.863
F 0.692 0.446 0.863
F 0.671 0.946 0.863
F 0.171 0.446 0.863
F 0.433 0.179 0.867
F 0.933 0.679 0.867

***

(8)
# NiMoO4

A relaxed NiMoO4 crystal (GGA+U, Materials Project).

## Properties
VASP energy   -6.392 eV per atom
Space group   P2/c, No. 13

Lattice parameters (Å, degrees): 4.657 4.966 5.751 90.00 90.00 89.88
Sites, in units of the cell vectors:
Ni 0.500 0.750 0.660
Ni 0.500 0.250 0.340
Mo 0.000 0.250 0.819
Mo 0.000 0.750 0.181
O 0.259 0.904 0.378
O 0.741 0.596 0.378
O 0.741 0.096 0.622
O 0.259 0.404 0.622
O 0.220 0.932 0.891
O 0.780 0.568 0.891
O 0.780 0.068 0.109
O 0.220 0.432 0.109

***

| no. | energy of formation from the pure elements (eV per atom) |
| --- | --- |
| 1 | -2.167 |
| 2 | -2.406 |
| 3 | -2.637 |
| 4 | -1.945 |
| 5 | -1.699 |
| 6 | -2.819 |
| 7 | -2.156 |
| 8 | -1.738 |